Record 1
NbNiP2 | meta-GGA r2SCAN | relaxed

abc: 3.3474 5.3975 12.2264
angles: 90.00 90.00 90.00
Closest atoms and distances in Å follow each position.
Fractional coordinates of all 16 atoms:
Ni 0.7500 0.4843 0.9145  5 P 2.26-2.36
Nb 0.7500 0.4872 0.6702  7 P 2.53-2.72
Nb 0.2500 0.0128 0.1702  7 P 2.53-2.72
P 0.7500 0.8617 0.3101  2 Ni 2.26, 4 Nb 2.53
P 0.2500 0.6967 0.5371  3 Ni 2.28-2.36
P 0.7500 0.8033 0.0371  3 Ni 2.28-2.36
Ni 0.2500 0.0157 0.4145  5 P 2.26-2.36
Ni 0.2500 0.5157 0.0855  5 P 2.26-2.36
P 0.7500 0.3617 0.1899  2 Ni 2.26, 4 Nb 2.53
P 0.2500 0.1383 0.6899  2 Ni 2.26, 4 Nb 2.53
P 0.2500 0.6383 0.8101  2 Ni 2.26, 4 Nb 2.53
P 0.7500 0.3033 0.4629  3 Ni 2.28-2.36
P 0.2500 0.1967 0.9629  3 Ni 2.28-2.36
Nb 0.7500 0.9872 0.8298  7 P 2.53-2.72
Ni 0.7500 0.9843 0.5855  5 P 2.26-2.36
Nb 0.2500 0.5128 0.3298  7 P 2.53-2.72

Results
Energy relative to the elements ... -762 meV per atom
E_tot ... -14.442 eV per atom
Size of the total moment ... 0.00 μB per atom

Record 2
Sc6C2I11 | meta-GGA r2SCAN | relaxed

abc: 9.2361 10.2989 14.4620
angles: 90.03 104.59 110.55
Closest atoms and distances in Å follow each position.
Fractional coordinates of all 38 atoms:
C 0.5671 0.6535 0.2014  1 C 1.42
I 0.3874 0.6310 0.4315  2 Sc 2.86-2.89
I 0.6269 0.3778 0.0626  4 Sc 3.03-3.20
Sc 0.6237 0.5833 0.3553  2 C 2.33-2.35
I 0.8548 0.7801 0.0229  3 Sc 2.91-3.14
I 0.8726 0.1124 0.1857  2 Sc 2.88-2.91
I 0.3827 0.9663 0.6097  2 Sc 2.87-2.90
Sc 0.3885 0.4788 0.1202  1 C 2.07
C 0.3137 0.2294 0.7384  1 C 1.42
Sc 0.6115 0.5212 0.8798  1 C 2.07
I 0.1292 0.5536 0.1488  2 Sc 2.88-3.02
Sc 0.8580 0.9463 0.3480  1 C 2.08
I 0.6153 0.6936 0.7287  2 Sc 2.81-2.95
Sc 0.5659 0.2223 0.7354  2 C 2.37-2.38
Sc 0.8254 0.6544 0.2036  2 C 2.33-2.37
I 0.6173 0.0337 0.3903  2 Sc 2.87-2.90
Sc 0.3763 0.4167 0.6447  2 C 2.33-2.35
I 0.3731 0.6222 0.9374  4 Sc 3.03-3.20
Sc 0.6315 0.8425 0.1097  2 C 2.31-2.34
I 0.1223 0.8722 0.3070  2 Sc 2.90-2.99
I 0.8708 0.4464 0.8512  2 Sc 2.88-3.02
I 0.6126 0.3690 0.5685  2 Sc 2.86-2.89
Sc 0.1746 0.3456 0.7964  2 C 2.33-2.37
I 0.1274 0.8876 0.8143  2 Sc 2.88-2.91
I 0.8777 0.1278 0.6930  2 Sc 2.90-2.99
I 0.8639 0.4734 0.3477  2 Sc 2.83-2.85
Sc 0.1420 0.0537 0.6520  1 C 2.08
I 0.1200 0.2071 0.4795  3 Sc 2.96-3.13
C 0.6863 0.7706 0.2616  1 C 1.42
I 0.1452 0.2199 0.9771  3 Sc 2.91-3.14
I 0.3808 0.9440 0.1052  2 Sc 2.84-2.92
I 0.3847 0.3064 0.2713  2 Sc 2.81-2.95
I 0.8800 0.7929 0.5205  3 Sc 2.96-3.13
Sc 0.3685 0.1575 0.8903  2 C 2.31-2.34
C 0.4329 0.3465 0.7986  1 C 1.42
I 0.6192 0.0560 0.8948  2 Sc 2.84-2.92
I 0.1361 0.5266 0.6523  2 Sc 2.83-2.85
Sc 0.4341 0.7777 0.2646  2 C 2.37-2.38

Results
Energy relative to the elements ... -1302 meV per atom
E_tot ... -20.167 eV per atom
Size of the total moment ... 0.05 μB per atom

Record 3
CeAgSn | meta-GGA r2SCAN | relaxed

abc: 4.7988 4.7988 7.7704
angles: 90.00 90.00 120.00
Closest atoms and distances in Å follow each position.
Fractional coordinates of all 6 atoms:
Sn 0.6667 0.3333 0.9543  3 Ag 2.84
Ag 0.6667 0.3333 0.5320  3 Sn 2.84, 3 Ce 3.18
Ce 0.0000 0.0000 0.2317  3 Ag 3.18, 6 Sn 3.27-3.51
Sn 0.3333 0.6667 0.4543  3 Ag 2.84
Ag 0.3333 0.6667 0.0320  3 Sn 2.84, 3 Ce 3.18
Ce 0.0000 0.0000 0.7317  3 Ag 3.18, 6 Sn 3.27-3.51

Results
Energy relative to the elements ... -573 meV per atom
E_tot ... -26.221 eV per atom
Size of the total moment ... 0.35 μB per atom